(1)
The following is a meta-GGA r2SCAN calculation of crystalline Na3LiY3P3CO15F2 at its relaxed geometry, from the Materials Project.

POSCAR file:
```
Na3LiY3P3CO15F2
1.0
-10.857 -0.338 -2.267
-0.055 -10.933 1.896
-2.291 1.867 10.695
O Li C Na Y F P
60 4 4 12 12 8 12
Cartesian
-0.639 -1.507 2.029
-5.830 -0.118 8.607
-4.245 -9.189 2.371
-9.629 -3.908 0.296
-2.432 -4.926 4.008
-10.976 1.023 7.079
-7.407 -6.038 9.204
-2.857 -6.567 6.287
-9.495 -10.653 1.728
-8.550 -0.983 4.093
-9.362 -4.121 8.450
-4.079 -7.358 11.656
-10.625 -9.194 4.171
-1.950 -6.819 2.449
-3.065 -0.439 6.835
-5.426 -3.993 9.271
-1.857 -1.820 0.186
-6.170 -1.260 2.567
-10.771 -4.483 6.317
-11.269 -5.736 8.422
-12.527 -0.580 7.026
-9.161 -9.364 -0.062
-2.838 -2.603 5.605
-4.615 -0.860 4.920
-7.777 -5.406 1.052
-3.761 -9.178 10.405
-4.652 -8.422 6.226
-2.215 -0.507 4.457
-5.817 -7.329 1.808
-8.589 -8.544 5.410
-6.203 -8.821 3.880
-10.946 -0.471 4.406
-8.998 -7.964 9.298
-9.907 -6.419 0.317
-2.210 -7.575 10.457
-2.621 -8.637 7.615
-10.345 -2.838 4.032
-7.381 -2.075 8.518
-3.842 -5.289 1.875
-10.099 -1.217 2.146
-5.802 -3.366 1.119
-3.558 -2.346 9.482
-4.836 -1.181 0.490
-6.601 -9.661 1.592
-8.324 0.204 8.373
-3.305 -4.719 10.308
-10.367 -6.800 4.725
-11.309 -0.266 8.869
-7.334 -1.538 0.374
-3.263 -4.244 7.884
-9.941 -5.155 2.439
-11.664 -3.246 8.260
-2.175 0.000 1.437
-7.039 -8.145 7.756
-1.530 -4.424 1.764
-11.031 -9.147 1.136
-6.645 -8.169 10.194
-2.444 -8.725 5.096
-6.995 -0.583 6.446
-10.799 -8.427 6.572
-10.585 -7.539 8.277
-9.169 -2.069 0.680
-2.652 -8.462 3.191
-4.001 -0.739 8.501
-9.889 -9.711 0.943
-1.567 -1.116 1.225
-3.357 -8.030 10.828
-11.594 0.049 7.653
-7.289 -7.487 -0.142
-9.517 -2.030 9.715
-12.295 -2.745 5.511
-4.394 0.404 2.835
-8.755 0.911 5.631
-5.208 -9.696 8.242
-1.668 -6.040 8.362
-8.050 -10.427 3.942
-3.668 -3.748 -0.020
-11.553 -6.991 2.591
-5.933 -5.544 11.096
-0.890 -3.032 4.185
-0.720 0.587 3.362
-1.571 1.280 7.333
-6.615 -7.397 5.630
-0.017 -3.436 0.596
-0.038 -7.496 1.300
-3.926 -4.619 5.721
-7.166 -4.242 7.799
-6.037 -5.162 2.526
-3.413 -0.106 -0.713
-7.444 -0.232 -1.554
-6.588 -2.007 4.695
-9.278 -4.785 4.604
-8.073 -3.302 5.896
-7.604 -3.674 3.412
-8.157 -5.810 6.378
-7.571 -6.179 3.919
-5.645 -5.683 6.832
-5.586 -3.155 6.466
-5.118 -3.645 4.002
-5.060 -6.170 4.393
-3.906 -3.834 9.211
-7.513 -7.560 9.088
-3.205 -1.126 5.449
-6.036 -1.855 1.164
-9.296 -5.222 1.054
-10.740 -4.395 7.845
-10.072 -8.219 5.216
-2.466 -5.357 2.540
-5.725 -8.724 2.430
-9.964 -1.398 3.682
-7.132 -0.669 7.967
-3.166 -8.065 6.302
```

Properties
Magnetization   0.00 μB/cell
Total energy   -10.373 eV per atom



(2)
The following is a meta-GGA r2SCAN calculation of crystalline LiPm2Os at its relaxed geometry, from the Materials Project.

POSCAR file:
```
LiPm2Os
1.0
0.000 3.538 3.538
3.538 0.000 3.538
3.538 3.538 0.000
Li Os Pm
1 1 2
Cartesian
1.769 1.769 1.769
5.308 5.308 5.308
0.000 0.000 0.000
3.538 3.538 3.538
```

Properties
Magnetization   0.00 μB/cell
Total energy   -28.769 eV per atom



(3)
The following is a meta-GGA r2SCAN calculation of crystalline Yb3W at its relaxed geometry, from the Materials Project.

POSCAR file:
```
Yb3W
1.0
0.000 3.658 3.658
3.658 0.000 3.658
3.658 3.658 0.000
W Yb
1 3
Cartesian
0.000 0.000 0.000
5.486 5.486 5.486
3.658 3.658 3.658
1.829 1.829 1.829
```

Properties
Magnetization   2.58 μB/cell
Total energy   -39.796 eV per atom



(4)
The following is a meta-GGA r2SCAN calculation of crystalline Yb2PbAu2 at its relaxed geometry, from the Materials Project.

POSCAR file:
```
Yb2PbAu2
1.0
-0.966 6.319 -4.664
0.517 -4.637 -6.390
-3.615 -0.500 0.071
Pb Au Yb
2 4 4
Cartesian
-2.032 0.590 -5.492
-1.807 -0.250 0.035
-1.606 -2.355 -4.563
-2.102 1.518 -2.516
-2.458 3.536 -6.420
-1.962 -0.337 -8.468
-0.558 3.440 -4.174
0.011 -0.493 -2.907
-0.460 2.174 -8.147
0.109 -1.758 -6.880
```

Properties
Magnetization   0.00 μB/cell
Total energy   -46.979 eV per atom



Number 1: DFT formation energy -2.9866 eV per atom. Number 2: DFT formation energy -0.1558 eV per atom. Number 3: DFT formation energy 0.4427 eV per atom. Number 4: DFT formation energy -0.8762 eV per atom.